Density functional theory data (PBE) for a relaxed structure of Ga2BiS4.

a b c (Å): 7.673 7.673 12.251
angles (deg): 90.00 90.00 90.00
Space group P4/nnc (No. 126, origin choice 2)
Inequivalent atoms, fractional coordinates:
Ga (0.250, 0.750, 0.000) [4 per cell]
Ga (0.250, 0.750, 0.250) [4 per cell]
Bi (0.250, 0.250, 0.121) [4 per cell]
S (0.088, 0.592, 0.625) [16 per cell]

Properties
Its total energy is -0.3218 Ry per atom. The formation enthalpy at 0 K comes out at -0.881 eV per atom.

***

Density functional theory data (PBE) for a relaxed structure of GdBi2IO4.

a b c (Å): 3.974 3.974 9.707
angles (deg): 90.00 90.00 90.00
Space group P4/mmm (No. 123)
Inequivalent atoms, fractional coordinates:
Gd (0.000, 0.000, 0.000) [1 per cell]
Bi (0.500, 0.500, 0.258) [2 per cell]
I (0.000, 0.000, 0.500) [1 per cell]
O (0.000, 0.500, 0.146) [4 per cell]

Properties
Its total energy is -0.5368 Ry per atom. Its magnetic moment is 7.0 μB/f.u. The formation enthalpy at 0 K comes out at -2.250 eV per atom.

***

Density functional theory data (PBE) for a relaxed structure of Li3GdBi2.

a b c (Å): 4.6953 4.6953 7.3665
angles (deg): 90.00 90.00 120.00
Space group P-3m1 (No. 164)
Inequivalent atoms, fractional coordinates:
Li (0.0000, 0.0000, 0.0000) [1 per cell]
Li (0.3333, 0.6667, 0.8501) [2 per cell]
Gd (0.0000, 0.0000, 0.5000) [1 per cell]
Bi (0.3333, 0.6667, 0.2522) [2 per cell]

Properties
Its total energy is -0.3878 Ry per atom. The formation enthalpy at 0 K comes out at -0.680 eV per atom.

***

Density functional theory data (PBE) for a relaxed structure of GdTiNbBi2O9.

a b c (Å): 5.431 5.509 12.920
angles (deg): 90.00 101.71 90.00
Space group P2_1 (No. 4)
Inequivalent atoms, fractional coordinates:
Gd (0.242, 0.000, 0.000) [2 per cell]
Ti (0.335, 0.538, 0.169) [2 per cell]
Nb (0.177, 0.543, 0.831) [2 per cell]
Bi (0.021, 0.990, 0.603) [2 per cell]
Bi (0.426, 0.984, 0.398) [2 per cell]
O (0.016, 0.554, 0.687) [2 per cell]
O (0.018, 0.777, 0.118) [2 per cell]
O (0.100, 0.278, 0.119) [2 per cell]
O (0.245, 0.753, 0.501) [2 per cell]
O (0.258, 0.255, 0.501) [2 per cell]
O (0.319, 0.558, 0.307) [2 per cell]
O (0.342, 0.588, 0.000) [2 per cell]
O (0.359, 0.868, 0.827) [2 per cell]
O (0.476, 0.363, 0.827) [2 per cell]

Properties
Its total energy is -0.6208 Ry per atom. Its magnetic moment is 7.1 μB/f.u. The formation enthalpy at 0 K comes out at -2.861 eV per atom.

***

Density functional theory data (PBE) for a relaxed structure of GdNiBi.

a b c (Å): 6.531 6.531 6.531
angles (deg): 90.00 90.00 90.00
Space group F-43m (No. 216)
Inequivalent atoms, fractional coordinates:
Gd (0.000, 0.000, 0.000) [4 per cell]
Ni (0.250, 0.250, 0.250) [4 per cell]
Bi (0.000, 0.000, 0.500) [4 per cell]

Properties
Its total energy is -0.6311 Ry per atom. The formation enthalpy at 0 K comes out at -0.671 eV per atom.

***

Density functional theory data (PBE) for a relaxed structure of GdBi4O8.

a b c (Å): 13.485 3.760 9.877
angles (deg): 90.00 120.63 90.00
Space group Cm (No. 8)
Inequivalent atoms, fractional coordinates:
Gd (0.000, 0.000, 0.000) [2 per cell]
Bi (0.053, 0.500, 0.368) [2 per cell]
Bi (0.170, 0.000, 0.755) [2 per cell]
Bi (0.275, 0.500, 0.188) [2 per cell]
Bi (0.386, 0.000, 0.626) [2 per cell]
O (0.076, 0.500, 0.639) [2 per cell]
O (0.103, 0.500, 0.173) [2 per cell]
O (0.173, 0.000, 0.514) [2 per cell]
O (0.193, 0.000, 0.029) [2 per cell]
O (0.352, 0.000, 0.347) [2 per cell]
O (0.385, 0.000, 0.864) [2 per cell]
O (0.440, 0.500, 0.184) [2 per cell]
O (0.480, 0.500, 0.743) [2 per cell]

Properties
Its total energy is -0.5062 Ry per atom. Its magnetic moment is 6.9 μB/f.u. The formation enthalpy at 0 K comes out at -1.986 eV per atom.

***

Density functional theory data (PBE) for a relaxed structure of Gd3Bi2O8.

a b c (Å): 13.179 3.798 9.635
angles (deg): 90.00 120.00 90.00
Space group Cm (No. 8)
Inequivalent atoms, fractional coordinates:
Gd (0.000, 0.000, 0.000) [2 per cell]
Gd (0.056, 0.500, 0.377) [2 per cell]
Gd (0.170, 0.000, 0.755) [2 per cell]
Bi (0.277, 0.500, 0.184) [2 per cell]
Bi (0.381, 0.000, 0.617) [2 per cell]
O (0.088, 0.500, 0.643) [2 per cell]
O (0.101, 0.500, 0.166) [2 per cell]
O (0.176, 0.000, 0.506) [2 per cell]
O (0.189, 0.000, 0.011) [2 per cell]
O (0.362, 0.000, 0.353) [2 per cell]
O (0.373, 0.000, 0.863) [2 per cell]
O (0.454, 0.500, 0.205) [2 per cell]
O (0.473, 0.500, 0.736) [2 per cell]

Properties
Its total energy is -0.6864 Ry per atom. Its magnetic moment is 20.0 μB/f.u. The formation enthalpy at 0 K comes out at -2.869 eV per atom.

***

Density functional theory data (PBE) for a relaxed structure of Gd3BiRu4O14.

a b c (Å): 7.2954 7.2954 17.9420
angles (deg): 90.00 90.00 120.00
Space group R-3m (No. 166, hexagonal axes)
Inequivalent atoms, fractional coordinates:
Gd (0.0000, 0.5000, 0.0000) [9 per cell]
Bi (0.0000, 0.0000, 0.5000) [3 per cell]
Ru (0.0000, 0.0000, 0.0000) [3 per cell]
Ru (0.0000, 0.5000, 0.5000) [9 per cell]
O (0.0000, 0.0000, 0.3733) [6 per cell]
O (0.0584, 0.5292, 0.6104) [18 per cell]
O (0.0599, 0.5299, 0.8599) [18 per cell]

Properties
Its total energy is -0.5941 Ry per atom. Its magnetic moment is 3.8 μB/f.u. The formation enthalpy at 0 K comes out at -1.589 eV per atom.

***

Density functional theory data (PBE) for a relaxed structure of Sr2GdBiO6.

a b c (Å): 8.662 8.662 8.662
angles (deg): 90.00 90.00 90.00
Space group Fm-3m (No. 225)
Inequivalent atoms, fractional coordinates:
Sr (0.250, 0.250, 0.250) [8 per cell]
Gd (0.000, 0.000, 0.000) [4 per cell]
Bi (0.000, 0.000, 0.500) [4 per cell]
O (0.000, 0.000, 0.257) [24 per cell]

Properties
Its total energy is -0.5444 Ry per atom. Its magnetic moment is 7.0 μB/f.u. The formation enthalpy at 0 K comes out at -2.716 eV per atom.

***

Density functional theory data (PBE) for a relaxed structure of Sr2GdBiO6.

a b c (Å): 8.586 8.586 8.586
angles (deg): 90.00 90.00 90.00
Space group Pn-3 (No. 201, origin choice 2)
Inequivalent atoms, fractional coordinates:
Sr (0.250, 0.250, 0.250) [2 per cell]
Sr (0.250, 0.250, 0.750) [6 per cell]
Gd (0.000, 0.000, 0.000) [4 per cell]
Bi (0.000, 0.000, 0.500) [4 per cell]
O (0.036, 0.546, 0.758) [24 per cell]

Properties
Its total energy is -0.5499 Ry per atom. Its magnetic moment is 7.0 μB/f.u. The formation enthalpy at 0 K comes out at -2.791 eV per atom.

***

Density functional theory data (PBE) for a relaxed structure of Sr2GdBiO6.

a b c (Å): 5.980 6.142 10.435
angles (deg): 90.00 124.95 90.00
Space group P2_1/c (No. 14)
Inequivalent atoms, fractional coordinates:
Sr (0.240, 0.047, 0.252) [4 per cell]
Gd (0.500, 0.000, 0.000) [2 per cell]
Bi (0.000, 0.000, 0.500) [2 per cell]
O (0.140, 0.214, 0.945) [4 per cell]
O (0.241, 0.697, 0.952) [4 per cell]
O (0.338, 0.039, 0.741) [4 per cell]

Properties
Its total energy is -0.5526 Ry per atom. Its magnetic moment is 7.0 μB/f.u. The formation enthalpy at 0 K comes out at -2.827 eV per atom.

***

Density functional theory data (PBE) for a relaxed structure of GeBi3.

a b c (Å): 7.734 7.734 7.734
angles (deg): 90.00 90.00 90.00
Space group Fm-3m (No. 225)
Inequivalent atoms, fractional coordinates:
Ge (0.000, 0.000, 0.000) [4 per cell]
Bi (0.000, 0.000, 0.500) [4 per cell]
Bi (0.250, 0.250, 0.250) [8 per cell]

Properties
Its total energy is -0.2825 Ry per atom. Its magnetic moment is 0.0 μB/f.u. The formation enthalpy at 0 K comes out at 0.230 eV per atom.